No. 1
Material: TiO2
Method: DFT, PBE
State: relaxed Values from VASP.

Geometry as Quantum ESPRESSO input:
```
&SYSTEM
  ibrav = 0, nat = 3, ntyp = 2
/
ATOMIC_SPECIES
O 16.00 O.upf
Ti 47.87 Ti.upf
CELL_PARAMETERS angstrom
4.947 -1.499 0.000
4.947 1.499 0.000
4.493 0.000 2.556
ATOMIC_POSITIONS crystal
O 0.733 0.733 0.733
Ti 0.000 0.000 0.000
O 0.267 0.267 0.267
```

ΔE_f   -3349 meV/atom
Volume   37.9 Å³ per cell
Magnetization   0.000 μB per atom
Crystal system   trigonal

No. 2
Material: TiO2
Method: DFT, PBE
State: relaxed Values from VASP.

Geometry as Quantum ESPRESSO input:
```
&SYSTEM
  ibrav = 0, nat = 90, ntyp = 2
/
ATOMIC_SPECIES
O 16.00 O.upf
Ti 47.87 Ti.upf
CELL_PARAMETERS angstrom
-1.938 6.072 -8.242
-9.278 -3.293 0.627
-2.350 7.953 6.338
ATOMIC_POSITIONS crystal
O 0.021 0.742 0.326
O 0.891 0.098 0.960
O 0.689 0.363 0.251
Ti 0.132 0.461 0.832
O 0.412 0.267 0.695
O 0.719 0.599 0.995
O 0.259 0.806 0.893
O 0.001 0.419 0.120
O 0.350 0.115 0.459
O 0.623 0.901 0.588
Ti 0.255 0.564 0.568
O 0.646 0.663 0.357
O 0.215 0.304 0.439
O 0.642 0.445 0.763
O 0.440 0.455 0.263
Ti 0.784 0.947 0.035
O 0.647 0.171 0.629
O 0.677 0.098 0.111
Ti 0.242 0.853 0.711
O 0.012 0.588 0.910
Ti 0.985 0.099 0.791
O 0.119 0.553 0.464
O 0.627 0.657 0.609
O 0.934 0.436 0.656
O 0.703 0.432 0.510
O 0.048 0.286 0.879
Ti 0.333 0.493 0.114
O 0.480 0.885 0.360
O 0.907 0.920 0.195
Ti 0.599 0.468 0.358
Ti 0.582 0.329 0.624
Ti 0.877 0.524 0.032
O 0.455 0.155 0.223
Ti 0.057 0.789 0.934
O 0.841 0.891 0.441
Ti 0.559 0.993 0.220
Ti 0.794 0.566 0.634
O 0.901 0.188 0.209
O 0.077 0.176 0.637
Ti 0.582 0.533 0.912
O 0.196 0.395 0.659
O 0.677 0.895 0.907
Ti 0.310 0.942 0.414
O 0.952 0.397 0.370
O 0.688 0.094 0.372
Ti 0.255 0.209 0.600
O 0.455 0.936 0.078
O 0.853 0.018 0.692
Ti 0.995 0.226 0.063
O 0.493 0.335 0.457
O 0.324 0.129 0.940
O 0.080 0.968 0.848
O 0.682 0.853 0.183
O 0.279 0.041 0.686
Ti 0.019 0.347 0.537
Ti 0.751 0.046 0.544
Ti 0.535 0.740 0.483
O 0.884 0.651 0.509
O 0.115 0.795 0.097
Ti 0.362 0.283 0.334
O 0.271 0.964 0.236
Ti 0.037 0.544 0.281
Ti 0.085 0.914 0.227
O 0.873 0.612 0.197
Ti 0.805 0.246 0.336
Ti 0.637 0.263 0.034
O 0.427 0.646 0.051
O 0.792 0.351 0.994
Ti 0.427 0.807 0.948
O 0.583 0.177 0.887
O 0.077 0.824 0.650
O 0.511 0.394 0.019
O 0.271 0.290 0.168
O 0.110 0.090 0.114
O 0.202 0.556 0.209
O 0.216 0.631 0.725
O 0.418 0.591 0.490
Ti 0.298 0.112 0.111
O 0.880 0.201 0.497
O 0.805 0.710 0.754
Ti 0.812 0.777 0.283
Ti 0.991 0.814 0.498
Ti 0.660 0.804 0.744
O 0.120 0.944 0.417
O 0.523 0.688 0.830
Ti 0.435 0.108 0.808
O 0.253 0.460 0.947
O 0.457 0.923 0.794
O 0.898 0.819 0.975
O 0.318 0.808 0.548
```

ΔE_f   -3338 meV/atom
Volume   1070.2 Å³ per cell
Magnetization   0.000 μB per atom
Crystal system   triclinic

No. 3
Material: TiO
Method: DFT, PBE
State: relaxed Values from VASP.

Geometry as Quantum ESPRESSO input:
```
&SYSTEM
  ibrav = 0, nat = 2, ntyp = 2
/
ATOMIC_SPECIES
O 16.00 O.upf
Ti 47.87 Ti.upf
CELL_PARAMETERS angstrom
-2.145 -2.145 0.000
-2.145 0.000 -2.145
0.000 -2.145 -2.145
ATOMIC_POSITIONS crystal
O 0.500 0.500 0.500
Ti 0.000 0.000 0.000
```

ΔE_f   -2636 meV/atom
Volume   19.7 Å³ per cell
Magnetization   0.000 μB per atom
Crystal system   cubic

No. 4
Material: TiO2
Method: DFT, PBE
State: relaxed Values from VASP.

Geometry as Quantum ESPRESSO input:
```
&SYSTEM
  ibrav = 0, nat = 24, ntyp = 2
/
ATOMIC_SPECIES
Ti 47.87 Ti.upf
O 16.00 O.upf
CELL_PARAMETERS angstrom
2.989 0.000 0.000
0.000 9.002 0.000
0.000 0.000 10.778
ATOMIC_POSITIONS crystal
Ti 0.750 0.410 0.899
O 0.750 0.113 0.512
O 0.750 0.029 0.283
Ti 0.750 0.910 0.601
O 0.750 0.926 0.928
O 0.250 0.971 0.717
O 0.750 0.426 0.572
O 0.750 0.529 0.217
Ti 0.750 0.950 0.118
Ti 0.750 0.450 0.382
O 0.250 0.574 0.428
Ti 0.250 0.550 0.618
Ti 0.250 0.050 0.882
O 0.750 0.701 0.640
O 0.250 0.299 0.360
O 0.750 0.613 0.988
O 0.250 0.887 0.488
Ti 0.250 0.590 0.101
O 0.250 0.799 0.140
O 0.250 0.471 0.783
Ti 0.250 0.090 0.399
O 0.750 0.201 0.860
O 0.250 0.387 0.012
O 0.250 0.074 0.072
```

ΔE_f   -3428 meV/atom
Volume   290.0 Å³ per cell
Crystal system   orthorhombic

No. 5
Material: TiO
Method: DFT, PBE
State: relaxed Values from VASP.

Geometry as Quantum ESPRESSO input:
```
&SYSTEM
  ibrav = 0, nat = 100, ntyp = 2
/
ATOMIC_SPECIES
O 16.00 O.upf
Ti 47.87 Ti.upf
CELL_PARAMETERS angstrom
-5.286 9.260 0.338
-1.105 -0.052 -10.189
-9.259 -5.635 1.105
ATOMIC_POSITIONS crystal
O 0.929 0.634 0.699
Ti 0.907 0.316 0.362
O 0.031 0.196 0.453
O 0.314 0.333 0.526
O 0.666 0.069 0.753
O 0.216 0.633 0.371
Ti 0.896 0.693 0.231
O 0.650 0.481 0.171
O 0.510 0.241 0.899
Ti 0.577 0.999 0.918
O 0.694 0.918 0.500
O 0.302 0.112 0.411
O 0.089 0.062 0.149
O 0.552 0.093 0.362
Ti 0.528 0.043 0.176
Ti 0.154 0.364 0.957
Ti 0.520 0.706 0.851
O 0.736 0.700 0.136
Ti 0.743 0.259 0.665
O 0.001 0.953 0.922
Ti 0.364 0.728 0.287
Ti 0.255 0.035 0.248
Ti 0.367 0.148 0.991
O 0.387 0.571 0.564
Ti 0.507 0.171 0.732
Ti 0.053 0.248 0.148
Ti 0.859 0.940 0.550
Ti 0.681 0.279 0.145
O 0.953 0.877 0.224
O 0.884 0.521 0.328
Ti 0.725 0.774 0.965
Ti 0.540 0.659 0.497
Ti 0.080 0.510 0.295
Ti 0.113 0.803 0.347
Ti 0.379 0.381 0.862
O 0.956 0.457 0.940
Ti 0.448 0.231 0.421
O 0.902 0.701 0.969
Ti 0.540 0.645 0.124
Ti 0.222 0.298 0.682
O 0.227 0.841 0.184
Ti 0.109 0.102 0.858
Ti 0.685 0.500 0.346
O 0.697 0.956 0.247
Ti 0.887 0.287 0.909
O 0.199 0.773 0.720
O 0.132 0.438 0.130
O 0.431 0.025 0.631
O 0.550 0.860 0.048
O 0.076 0.418 0.611
Ti 0.587 0.906 0.657
Ti 0.339 0.358 0.171
Ti 0.254 0.652 0.863
O 0.670 0.444 0.672
Ti 0.733 0.112 0.372
O 0.249 0.995 0.937
Ti 0.833 0.981 0.808
Ti 0.623 0.407 0.847
O 0.418 0.919 0.290
O 0.716 0.305 0.330
O 0.390 0.538 0.219
O 0.587 0.719 0.669
O 0.142 0.745 0.974
O 0.255 0.231 0.857
O 0.562 0.247 0.566
Ti 0.370 0.936 0.481
O 0.491 0.239 0.144
Ti 0.582 0.878 0.367
O 0.725 0.354 0.985
Ti 0.984 0.246 0.627
Ti 0.810 0.043 0.141
O 0.467 0.522 0.788
Ti 0.994 0.767 0.831
Ti 0.263 0.709 0.552
Ti 0.489 0.419 0.619
Ti 0.032 0.489 0.774
O 0.402 0.671 0.988
Ti 0.047 0.596 0.042
O 0.565 0.692 0.312
O 0.828 0.122 0.548
O 0.761 0.966 0.973
O 0.964 0.901 0.697
Ti 0.349 0.486 0.396
O 0.168 0.091 0.680
O 0.854 0.364 0.533
Ti 0.122 0.919 0.608
Ti 0.011 0.057 0.325
O 0.734 0.614 0.498
O 0.219 0.468 0.795
O 0.707 0.595 0.866
O 0.020 0.929 0.460
O 0.917 0.155 0.779
Ti 0.336 0.938 0.769
O 0.877 0.204 0.076
Ti 0.742 0.619 0.689
Ti 0.917 0.541 0.523
Ti 0.185 0.271 0.393
Ti 0.075 0.881 0.084
Ti 0.778 0.539 0.035
Ti 0.365 0.867 0.027
```

ΔE_f   -2606 meV/atom
Volume   1190.5 Å³ per cell
Magnetization   0.000 μB per atom
Crystal system   triclinic

No. 6
Material: Ti6O
Method: DFT, PBE
State: relaxed Values from VASP.

Geometry as Quantum ESPRESSO input:
```
&SYSTEM
  ibrav = 0, nat = 7, ntyp = 2
/
ATOMIC_SPECIES
Ti 47.87 Ti.upf
O 16.00 O.upf
CELL_PARAMETERS angstrom
2.557 -4.428 0.000
2.557 4.428 0.000
0.000 0.000 4.750
ATOMIC_POSITIONS crystal
Ti 0.668 0.668 0.261
Ti 0.000 0.668 0.739
Ti 0.332 0.000 0.261
Ti 0.000 0.332 0.261
Ti 0.668 0.000 0.739
Ti 0.332 0.332 0.739
O 0.000 0.000 0.000
```

ΔE_f   -905 meV/atom
Volume   107.5 Å³ per cell
Crystal system   trigonal

No. 7
Material: TiO2
Method: DFT, PBE
State: relaxed Values from VASP.

Geometry as Quantum ESPRESSO input:
```
&SYSTEM
  ibrav = 0, nat = 48, ntyp = 2
/
ATOMIC_SPECIES
O 16.00 O.upf
Ti 47.87 Ti.upf
CELL_PARAMETERS angstrom
3.031 5.099 0.000
-3.031 5.099 0.000
0.000 3.807 19.391
ATOMIC_POSITIONS crystal
O 0.438 0.989 0.685
Ti 0.383 0.849 0.874
O 0.928 0.928 0.683
Ti 0.094 0.094 0.223
O 0.183 0.183 0.430
O 0.321 0.321 0.066
O 0.938 0.938 0.182
O 0.176 0.176 0.936
Ti 0.497 0.497 0.993
O 0.814 0.814 0.572
O 0.989 0.438 0.685
O 0.327 0.787 0.567
O 0.574 0.574 0.823
O 0.290 0.802 0.060
O 0.234 0.684 0.938
O 0.219 0.679 0.433
O 0.569 0.569 0.320
Ti 0.901 0.901 0.779
O 0.787 0.327 0.567
O 0.327 0.327 0.563
O 0.070 0.070 0.320
O 0.684 0.234 0.938
O 0.965 0.419 0.185
O 0.813 0.813 0.084
O 0.529 0.074 0.316
Ti 0.126 0.628 0.622
O 0.048 0.562 0.809
O 0.072 0.072 0.815
O 0.673 0.673 0.933
O 0.074 0.529 0.316
Ti 0.654 0.654 0.534
O 0.679 0.679 0.433
Ti 0.405 0.405 0.283
Ti 0.628 0.126 0.622
O 0.802 0.290 0.060
O 0.424 0.424 0.186
O 0.679 0.219 0.433
Ti 0.849 0.383 0.874
O 0.425 0.425 0.679
Ti 0.629 0.101 0.130
Ti 0.148 0.148 0.029
Ti 0.101 0.629 0.130
O 0.562 0.048 0.809
Ti 0.348 0.348 0.466
Ti 0.254 0.254 0.738
Ti 0.379 0.874 0.377
O 0.419 0.965 0.185
Ti 0.874 0.379 0.377
```

ΔE_f   -3323 meV/atom
Volume   599.3 Å³ per cell
Magnetization   0.000 μB per atom
Crystal system   monoclinic

No. 8
Material: TiO2
Method: DFT, PBE
State: relaxed Values from VASP.

Geometry as Quantum ESPRESSO input:
```
&SYSTEM
  ibrav = 0, nat = 12, ntyp = 2
/
ATOMIC_SPECIES
Ti 47.87 Ti.upf
O 16.00 O.upf
CELL_PARAMETERS angstrom
-1.005 3.770 0.203
-3.450 -0.647 -5.072
-9.287 -2.800 6.005
ATOMIC_POSITIONS crystal
Ti 0.250 0.039 0.255
O 0.250 0.464 0.936
Ti 0.750 0.453 0.900
O 0.750 0.048 0.608
O 0.250 0.952 0.392
O 0.250 0.829 0.145
O 0.250 0.338 0.216
O 0.750 0.536 0.064
O 0.750 0.662 0.784
O 0.750 0.171 0.855
Ti 0.750 0.961 0.745
Ti 0.250 0.547 0.100
```

ΔE_f   -2976 meV/atom
Volume   274.6 Å³ per cell
Magnetization   0.000 μB per atom
Crystal system   monoclinic

In the order shown, the computed DFT total energy values come out to -0.324; -0.324; -0.320; -0.327; -0.319; -0.304; -0.323; -0.310 hartree per atom.